(i)
First-principles (GGA+U) data for LiTi2VO6 after structural relaxation, as listed in Materials Project.

abc: 3.003 6.552 12.025
angles: 102.04 90.01 103.24
Fractional coordinates of all 20 atoms:
O: 0.165 0.329 0.283
O: 0.852 0.704 0.451
O: 0.815 0.629 0.715
O: 0.502 0.004 0.884
O: 0.852 0.704 0.951
O: 0.161 0.323 0.564
Ti: 0.651 0.303 0.183
O: 0.814 0.629 0.215
Ti: 0.651 0.303 0.683
O: 0.161 0.323 0.064
Li: 0.333 0.667 0.083
Ti: 0.015 0.031 0.484
O: 0.165 0.330 0.783
O: 0.505 0.011 0.603
Ti: 0.015 0.031 0.984
V: 0.333 0.667 0.833
Li: 0.333 0.667 0.583
O: 0.505 0.011 0.103
V: 0.333 0.667 0.333
O: 0.502 0.004 0.384

## Properties
Calculated density   3.685 g/cm³

(ii)
First-principles (GGA+U) data for LiTi2VO6 after structural relaxation, as listed in Materials Project.

abc: 9.945 8.970 5.633
angles: 90.00 103.72 90.00
Fractional coordinates of all 40 atoms:
Li: 0.240 0.009 0.463
Li: 0.240 0.491 0.963
Li: 0.760 0.509 0.037
Li: 0.760 0.991 0.537
Ti: 0.054 0.158 0.828
Ti: 0.054 0.342 0.328
Ti: 0.452 0.156 0.236
Ti: 0.452 0.344 0.736
Ti: 0.548 0.656 0.264
Ti: 0.548 0.844 0.764
Ti: 0.946 0.658 0.672
Ti: 0.946 0.842 0.172
V: 0.249 0.665 0.453
V: 0.249 0.835 0.953
V: 0.751 0.165 0.047
V: 0.751 0.335 0.547
O: 0.113 0.187 0.160
O: 0.113 0.313 0.660
O: 0.131 0.509 0.249
O: 0.131 0.991 0.749
O: 0.138 0.665 0.740
O: 0.138 0.835 0.240
O: 0.356 0.667 0.170
O: 0.356 0.833 0.670
O: 0.381 0.522 0.643
O: 0.381 0.978 0.143
O: 0.384 0.198 0.505
O: 0.384 0.302 0.005
O: 0.616 0.698 0.995
O: 0.616 0.802 0.495
O: 0.619 0.022 0.857
O: 0.619 0.478 0.357
O: 0.644 0.167 0.330
O: 0.644 0.333 0.830
O: 0.862 0.165 0.760
O: 0.862 0.335 0.260
O: 0.869 0.009 0.251
O: 0.869 0.491 0.751
O: 0.887 0.687 0.340
O: 0.887 0.813 0.840

## Properties
Calculated density   3.396 g/cm³

Name the least stable of them. (i).

(i)
First-principles (GGA+U) data for Li3Ti3VO8 after structural relaxation, as listed in Materials Project.

abc: 5.932 5.932 6.019
angles: 119.46 119.46 59.98
Fractional coordinates of all 15 atoms:
Li: 0.000 0.000 0.000
Li: 0.000 0.500 0.000
Li: 0.500 0.000 0.000
Ti: 0.000 0.500 0.500
Ti: 0.500 0.000 0.500
Ti: 0.500 0.500 0.500
V: 0.000 0.000 0.500
O: 0.240 0.738 0.720
O: 0.241 0.241 0.720
O: 0.255 0.255 0.265
O: 0.262 0.760 0.280
O: 0.738 0.240 0.720
O: 0.745 0.745 0.735
O: 0.759 0.759 0.280
O: 0.760 0.262 0.280

## Properties
Calculated density   3.778 g/cm³

(ii)
First-principles (GGA+U) data for Li3Ti3VO8 after structural relaxation, as listed in Materials Project.

abc: 6.052 5.968 8.447
angles: 90.00 91.23 90.00
Fractional coordinates of all 30 atoms:
Li: 0.000 0.000 0.000
Li: 0.250 0.250 0.250
Li: 0.250 0.750 0.250
Li: 0.500 0.500 0.500
Li: 0.750 0.250 0.750
Li: 0.750 0.750 0.750
Ti: 0.000 0.500 0.500
Ti: 0.250 0.249 0.749
Ti: 0.250 0.751 0.749
Ti: 0.500 0.000 0.000
Ti: 0.750 0.249 0.251
Ti: 0.750 0.751 0.251
V: 0.000 0.000 0.500
V: 0.500 0.500 0.000
O: 0.017 0.500 0.737
O: 0.018 0.000 0.751
O: 0.233 0.266 0.513
O: 0.233 0.734 0.513
O: 0.269 0.234 0.987
O: 0.269 0.766 0.987
O: 0.481 0.500 0.750
O: 0.483 0.000 0.763
O: 0.517 0.000 0.237
O: 0.519 0.500 0.250
O: 0.731 0.234 0.013
O: 0.731 0.766 0.013
O: 0.767 0.266 0.487
O: 0.767 0.734 0.487
O: 0.982 0.000 0.249
O: 0.983 0.500 0.263

## Properties
Calculated density   3.739 g/cm³

Name the least stable of them. (i).

(i)
First-principles (GGA+U) data for Li2TiV2O6 after structural relaxation, as listed in Materials Project.

abc: 6.032 2.978 13.165
angles: 90.00 103.10 90.00
Fractional coordinates of all 22 atoms:
Li: 0.095 0.250 0.412
Li: 0.404 0.250 0.092
Li: 0.596 0.750 0.908
Li: 0.905 0.750 0.588
Ti: 0.245 0.250 0.746
Ti: 0.755 0.750 0.254
V: 0.069 0.750 0.911
V: 0.436 0.750 0.588
V: 0.564 0.250 0.412
V: 0.931 0.250 0.089
O: 0.034 0.750 0.747
O: 0.145 0.750 0.073
O: 0.193 0.250 0.593
O: 0.305 0.250 0.904
O: 0.348 0.750 0.429
O: 0.464 0.750 0.748
O: 0.536 0.250 0.252
O: 0.652 0.250 0.571
O: 0.695 0.750 0.096
O: 0.807 0.750 0.407
O: 0.855 0.250 0.927
O: 0.966 0.250 0.253

## Properties
Calculated density   3.743 g/cm³

(ii)
First-principles (GGA+U) data for Li2TiV2O6 after structural relaxation, as listed in Materials Project.

abc: 5.173 5.173 10.258
angles: 90.00 90.00 60.62
Fractional coordinates of all 22 atoms:
Li: 0.128 0.372 0.250
Li: 0.372 0.128 0.750
Li: 0.628 0.872 0.250
Li: 0.872 0.628 0.750
Ti: 0.000 0.000 0.000
Ti: 0.500 0.500 0.500
V: 0.164 0.164 0.500
V: 0.336 0.336 0.000
V: 0.664 0.664 0.000
V: 0.836 0.836 0.500
O: 0.017 0.318 0.892
O: 0.176 0.824 0.402
O: 0.182 0.483 0.608
O: 0.318 0.017 0.108
O: 0.324 0.676 0.902
O: 0.483 0.182 0.392
O: 0.517 0.818 0.608
O: 0.676 0.324 0.098
O: 0.682 0.983 0.892
O: 0.818 0.517 0.392
O: 0.824 0.176 0.598
O: 0.983 0.682 0.108

## Properties
Calculated density   3.604 g/cm³

Name the least stable of them. (ii).